No. 1
A geometry-optimized MgMo2WSe2S4 structure. Source: the Materials Project database, functional GGA-PBE.

The structure in POSCAR format:
```
MgMo2WSe2S4
1.0
-1.0594 -2.5710 -1.6461
3.1276 0.2463 0.7741
-5.2030 -14.2103 25.5430
Mg Mo W Se S
1 2 1 2 4
Cartesian
-2.9139 -12.6852 21.4527
1.1303 -2.3356 2.9204
-1.2773 -8.9114 14.7404
-1.4689 -6.5627 8.0236
-0.3739 -6.4445 10.3061
0.2274 -4.8024 7.3544
0.0063 -2.5327 0.7800
-2.4013 -9.1085 12.5998
-0.5372 -4.0173 3.4485
-2.9445 -10.5918 15.2662
```

The calculated formation energy comes out at -78.3 kJ/mol of atoms. As for the total moment: 0.001 μB per atom.

---

No. 2
A geometry-optimized MgMo2WSe4S2 structure. Source: the Materials Project database, functional GGA-PBE.

The structure in POSCAR format:
```
MgMo2WSe4S2
1.0
3.2765 0.0000 0.0000
-1.6383 2.8375 0.0000
0.0000 0.0001 30.1949
Mg Mo W Se S
1 2 1 4 2
Cartesian
-0.0341 0.0592 25.6657
0.0000 1.8916 3.4910
1.6383 0.9460 10.4770
0.0000 1.8916 17.4630
1.6382 0.9457 1.8024
1.6383 0.9458 15.7635
1.6382 0.9457 5.1814
1.6383 0.9458 19.1616
0.0000 1.8918 12.0129
0.0000 1.8918 8.9412
```

The calculated formation energy comes out at -62.9 kJ/mol of atoms. As for the total moment: 0.001 μB per atom.

---

What is the formula in the first record? MgMo2WSe2S4

---

What is the calculated formation energy in the first record? -78.3 kJ/mol of atoms

---

What is the total moment in the second record? 0.001 μB per atom